Density functional theory data (meta-GGA r2SCAN) for a geometry-optimized MgCoGe structure.

Unit cell a=3.8597 b=3.8597 c=6.1075 alpha=90.00 beta=90.00 gamma=90.00
Fractional positions:
Ge: 0.7500 0.7500 0.7756
Co: 0.7500 0.2500 0.0000
Mg: 0.2500 0.2500 0.6826
Ge: 0.2500 0.2500 0.2244
Mg: 0.7500 0.7500 0.3174
Co: 0.2500 0.7500 0.0000

Calculated formation energy (eV per atom): -0.22
M_tot (μB per cell): 0.0
Space group: P4/nmm (129)
Final energy (eV for the cell shown): -63.89